[1]
A plane-wave DFT calculation with PBE+U was carried out for a relaxed Mn7Cr12O48 crystal.

Unit cell a=4.996 b=10.289 c=17.401 alpha=89.91 beta=89.89 gamma=89.74
Fractional coordinates of all 67 atoms:
O (0.567, 0.105, 0.117)
O (0.098, 0.393, 0.210)
O (0.369, 0.624, 0.207)
O (0.624, 0.125, 0.291)
O (0.951, 0.224, 0.007)
O (0.445, 0.902, 0.869)
O (0.543, 0.749, 0.494)
O (0.563, 0.002, 0.423)
O (0.903, 0.378, 0.531)
O (0.388, 0.010, 0.570)
O (0.097, 0.622, 0.458)
O (0.377, 0.885, 0.198)
O (0.951, 0.889, 0.637)
O (0.161, 0.243, 0.857)
O (0.621, 0.388, 0.801)
O (0.379, 0.381, 0.972)
O (0.142, 0.118, 0.209)
O (0.065, 0.399, 0.378)
O (0.384, 0.489, 0.571)
O (0.618, 0.376, 0.292)
O (0.375, 0.753, 0.342)
O (0.896, 0.882, 0.787)
O (0.821, 0.750, 0.156)
O (0.565, 0.633, 0.038)
O (0.813, 0.884, 0.299)
O (0.642, 0.249, 0.641)
O (0.949, 0.611, 0.639)
O (0.063, 0.102, 0.378)
O (0.440, 0.878, 0.700)
O (0.910, 0.119, 0.530)
O (0.571, 0.499, 0.422)
O (0.438, 0.620, 0.701)
O (0.871, 0.627, 0.790)
O (0.897, 0.009, 0.924)
O (0.909, 0.492, 0.918)
O (0.070, 0.991, 0.078)
O (0.813, 0.620, 0.299)
O (0.091, 0.514, 0.076)
O (0.631, 0.118, 0.796)
O (0.184, 0.387, 0.705)
O (0.045, 0.735, 0.004)
O (0.096, 0.885, 0.460)
O (0.450, 0.123, 0.968)
O (0.547, 0.398, 0.132)
O (0.606, 0.889, 0.034)
O (0.183, 0.112, 0.703)
O (0.424, 0.247, 0.492)
O (0.428, 0.601, 0.883)
Cr (0.289, 0.481, 0.157)
Cr (0.236, 0.973, 0.654)
Cr (0.707, 0.979, 0.845)
Cr (0.291, 0.751, 0.437)
Cr (0.771, 0.026, 0.346)
Cr (0.772, 0.475, 0.346)
Cr (0.235, 0.526, 0.655)
Cr (0.701, 0.525, 0.847)
Cr (0.771, 0.750, 0.059)
Cr (0.718, 0.249, 0.550)
Cr (0.229, 0.243, 0.950)
Cr (0.291, 0.023, 0.151)
Mn (0.592, 0.747, 0.249)
Mn (0.236, 0.564, 0.981)
Mn (0.236, 0.062, 0.471)
Mn (0.400, 0.249, 0.754)
Mn (0.233, 0.437, 0.472)
Mn (0.762, 0.061, 0.025)
Mn (0.827, 0.753, 0.708)

DFT total energy (eV per cell): -456.22
E_form (eV per atom): -1.60

[2]
A plane-wave DFT calculation with PBE+U was carried out for a relaxed Mn4CrO8 crystal.

Unit cell a=5.998 b=5.998 c=6.166 alpha=61.12 beta=61.12 gamma=58.21
Fractional coordinates of all 13 atoms:
Mn (0.000, 0.500, 0.000)
Mn (0.500, 0.000, 0.000)
Mn (0.500, 0.500, 0.500)
Mn (0.000, 0.000, 0.000)
O (0.268, 0.268, 0.191)
O (0.743, 0.743, 0.214)
O (0.777, 0.278, 0.195)
O (0.732, 0.732, 0.809)
O (0.278, 0.777, 0.195)
O (0.722, 0.223, 0.805)
O (0.223, 0.722, 0.805)
O (0.257, 0.257, 0.786)
Cr (0.500, 0.500, 0.000)

DFT total energy (eV per cell): -97.52
E_form (eV per atom): -1.98

[3]
A plane-wave DFT calculation with PBE+U was carried out for a relaxed Mn3Cr3O8 crystal.

Unit cell a=6.114 b=6.073 c=10.477 alpha=73.21 beta=88.83 gamma=60.22
Fractional coordinates of all 28 atoms:
O (0.715, 0.578, 0.567)
O (0.202, 0.607, 0.583)
O (0.215, 0.139, 0.067)
O (0.451, 0.627, 0.297)
O (0.174, 0.123, 0.579)
O (0.423, 0.143, 0.292)
O (0.410, 0.611, 0.808)
O (0.911, 0.612, 0.308)
O (0.410, 0.172, 0.808)
O (0.714, 0.139, 0.567)
O (0.702, 0.607, 0.083)
O (0.215, 0.578, 0.067)
O (0.910, 0.171, 0.308)
O (0.950, 0.627, 0.797)
O (0.675, 0.123, 0.078)
O (0.922, 0.143, 0.792)
Mn (0.812, 0.375, 0.437)
Mn (0.119, 0.754, 0.375)
Mn (0.619, 0.754, 0.875)
Mn (0.313, 0.375, 0.937)
Mn (0.505, 0.996, 0.501)
Mn (0.006, 0.996, 0.000)
Cr (0.062, 0.375, 0.687)
Cr (0.563, 0.375, 0.188)
Cr (0.062, 0.875, 0.687)
Cr (0.563, 0.875, 0.188)
Cr (0.562, 0.375, 0.687)
Cr (0.063, 0.375, 0.188)

DFT total energy (eV per cell): -222.19
Relative energy among the computed polymorphs (kcal/mol of atoms): 0.00
E_form (eV per atom): -2.25

[4]
A plane-wave DFT calculation with PBE+U was carried out for a relaxed Mn2CrO6 crystal.

Unit cell a=5.077 b=5.077 c=9.611 alpha=90.00 beta=90.00 gamma=120.19
Fractional coordinates of all 18 atoms:
O (0.666, 0.666, 0.099)
O (0.335, 0.999, 0.100)
O (0.999, 0.335, 0.100)
O (0.665, 0.001, 0.900)
O (0.834, 0.834, 0.599)
O (0.501, 0.165, 0.600)
O (0.166, 0.166, 0.401)
O (0.835, 0.499, 0.400)
O (0.334, 0.334, 0.901)
O (0.001, 0.665, 0.900)
O (0.499, 0.835, 0.400)
O (0.165, 0.501, 0.600)
Cr (0.000, 0.000, 0.000)
Cr (0.500, 0.500, 0.500)
Mn (0.667, 0.333, 0.000)
Mn (0.167, 0.833, 0.500)
Mn (0.333, 0.667, 0.000)
Mn (0.833, 0.167, 0.500)

DFT total energy (eV per cell): -129.07
E_form (eV per atom): -1.81